Model one:
The following is a DFT calculation (PBE+U) of an optimized crystal structure of Li3Fe2P4O14.

abc: 9.833 9.791 11.170
angles: 90.33 102.27 89.50
Atoms (fractional coordinates):
Li  0.171  0.427  0.543
Li  0.345  0.912  0.958
Li  0.143  0.390  0.042
Li  0.413  0.613  0.972
Li  0.323  0.919  0.449
Li  0.614  0.781  0.456
Li  0.666  0.084  0.543
Li  0.592  0.400  0.033
Li  0.655  0.108  0.035
Li  0.919  0.908  0.974
Li  0.835  0.579  0.459
Li  0.887  0.284  0.547
Fe  0.197  0.923  0.668
Fe  0.247  0.210  0.823
Fe  0.237  0.719  0.173
Fe  0.301  0.422  0.328
Fe  0.700  0.576  0.685
Fe  0.752  0.282  0.825
Fe  0.748  0.778  0.170
Fe  0.805  0.071  0.324
P  0.022  0.452  0.757
P  0.115  0.712  0.880
P  0.069  0.924  0.246
P  0.124  0.149  0.422
P  0.378  0.648  0.577
P  0.437  0.429  0.759
P  0.515  0.048  0.749
P  0.386  0.206  0.115
P  0.620  0.798  0.885
P  0.481  0.951  0.243
P  0.563  0.574  0.245
P  0.624  0.351  0.418
P  0.875  0.852  0.580
P  0.928  0.074  0.756
P  0.884  0.288  0.115
P  0.982  0.542  0.255
O  0.026  0.406  0.628
O  0.026  0.841  0.570
O  0.078  0.080  0.731
O  0.094  0.599  0.770
O  0.104  0.363  0.859
O  0.193  0.827  0.826
O  0.219  0.650  0.993
O  0.024  0.265  0.088
O  0.124  0.076  0.293
O  0.069  0.911  0.113
O  0.131  0.522  0.225
O  0.187  0.290  0.412
O  0.177  0.824  0.319
O  0.208  0.056  0.521
O  0.294  0.555  0.478
O  0.330  0.325  0.698
O  0.316  0.791  0.586
O  0.363  0.026  0.772
O  0.377  0.578  0.706
O  0.445  0.440  0.896
O  0.481  0.776  0.919
O  0.294  0.139  0.001
O  0.314  0.328  0.165
O  0.407  0.099  0.228
O  0.413  0.581  0.269
O  0.398  0.859  0.143
O  0.473  0.342  0.427
O  0.518  0.084  0.620
O  0.481  0.912  0.374
O  0.532  0.659  0.567
O  0.593  0.141  0.851
O  0.583  0.416  0.726
O  0.594  0.901  0.770
O  0.680  0.672  0.831
O  0.725  0.865  0.992
O  0.530  0.236  0.095
O  0.571  0.580  0.111
O  0.627  0.425  0.290
O  0.634  0.967  0.222
O  0.692  0.209  0.409
O  0.664  0.679  0.320
O  0.720  0.435  0.519
O  0.781  0.938  0.478
O  0.829  0.180  0.678
O  0.806  0.712  0.586
O  0.867  0.468  0.772
O  0.914  0.083  0.887
O  0.868  0.926  0.706
O  0.976  0.749  0.903
O  0.770  0.335  0.004
O  0.820  0.164  0.172
O  0.906  0.650  0.168
O  0.895  0.402  0.221
O  0.921  0.917  0.278
O  0.970  0.163  0.433
O  0.988  0.560  0.390

Computed properties:
SG: P1



Model two:
The following is a DFT calculation (PBE+U) of an optimized crystal structure of Li3Fe2P4O14.

abc: 9.841 9.852 11.226
angles: 90.01 102.25 90.12
Atoms (fractional coordinates):
Li  0.086  0.104  0.029
Li  0.148  0.391  0.039
Li  0.413  0.615  0.972
Li  0.313  0.907  0.443
Li  0.381  0.223  0.552
Li  0.618  0.783  0.454
Li  0.674  0.082  0.545
Li  0.589  0.398  0.029
Li  0.646  0.093  0.042
Li  0.907  0.895  0.969
Li  0.899  0.553  0.506
Li  0.897  0.276  0.548
Fe  0.205  0.917  0.677
Fe  0.252  0.209  0.823
Fe  0.246  0.707  0.175
Fe  0.294  0.427  0.337
Fe  0.704  0.580  0.682
Fe  0.753  0.290  0.824
Fe  0.744  0.779  0.167
Fe  0.801  0.069  0.324
P  0.020  0.452  0.756
P  0.117  0.712  0.883
P  0.059  0.923  0.238
P  0.127  0.145  0.423
P  0.377  0.648  0.573
P  0.438  0.431  0.758
P  0.521  0.052  0.754
P  0.379  0.210  0.119
P  0.618  0.797  0.879
P  0.474  0.946  0.243
P  0.559  0.575  0.244
P  0.625  0.359  0.430
P  0.879  0.851  0.581
P  0.937  0.071  0.757
P  0.879  0.291  0.112
P  0.975  0.550  0.245
O  0.016  0.421  0.623
O  0.031  0.848  0.571
O  0.085  0.078  0.729
O  0.101  0.595  0.780
O  0.102  0.356  0.852
O  0.193  0.823  0.826
O  0.218  0.650  0.001
O  0.020  0.267  0.085
O  0.122  0.066  0.296
O  0.060  0.933  0.104
O  0.130  0.532  0.219
O  0.200  0.280  0.409
O  0.170  0.815  0.296
O  0.223  0.058  0.521
O  0.295  0.567  0.466
O  0.346  0.313  0.700
O  0.314  0.789  0.587
O  0.367  0.033  0.769
O  0.371  0.570  0.697
O  0.438  0.443  0.892
O  0.482  0.763  0.908
O  0.269  0.165  0.005
O  0.317  0.329  0.180
O  0.393  0.089  0.218
O  0.404  0.583  0.262
O  0.384  0.841  0.158
O  0.472  0.348  0.443
O  0.527  0.098  0.626
O  0.480  0.918  0.377
O  0.533  0.662  0.568
O  0.602  0.141  0.857
O  0.586  0.423  0.730
O  0.593  0.906  0.767
O  0.690  0.681  0.824
O  0.719  0.867  0.988
O  0.520  0.234  0.091
O  0.565  0.571  0.111
O  0.616  0.430  0.299
O  0.618  0.960  0.209
O  0.693  0.221  0.422
O  0.650  0.687  0.312
O  0.718  0.448  0.526
O  0.780  0.933  0.482
O  0.837  0.179  0.687
O  0.817  0.709  0.591
O  0.868  0.470  0.777
O  0.934  0.073  0.891
O  0.873  0.926  0.708
O  0.980  0.745  0.907
O  0.772  0.346  0.001
O  0.814  0.168  0.164
O  0.898  0.649  0.150
O  0.899  0.404  0.219
O  0.916  0.904  0.270
O  0.978  0.161  0.440
O  0.978  0.579  0.375

Computed properties:
SG: P1



The computed energies, referenced to the most stable structure and given in meV/atom, are model one 7; model two 0.